Record 1
An optimized crystal structure of Sr3NiN3. Source: the Materials Project, functional PBE.

E_form   -0.58 eV per atom
SG   P6_3/m (176)

Cell: 7.541 7.541 5.384 Å, 90.00 90.00 120.00°
Atoms (fractional coordinates):
Sr1 0.084 0.364 0.250
Sr2 0.280 0.916 0.250
Sr3 0.364 0.280 0.750
Sr4 0.636 0.720 0.250
Sr5 0.720 0.084 0.750
Sr6 0.916 0.636 0.750
Ni1 0.333 0.667 0.750
Ni2 0.667 0.333 0.250
N1 0.109 0.415 0.750
N2 0.306 0.891 0.750
N3 0.415 0.306 0.250
N4 0.585 0.694 0.750
N5 0.694 0.109 0.250
N6 0.891 0.585 0.250



Record 2
An optimized crystal structure of LuMg2Mo3S8. Source: the Materials Project, functional PBE.

E_form   -1.19 eV per atom
SG   R-3m (166)

Cell: 7.466 7.466 7.466 Å, 60.74 60.74 60.74°
Atoms (fractional coordinates):
Lu1 0.000 0.000 0.000
Mg1 0.376 0.376 0.376
Mg2 0.624 0.624 0.624
Mo1 0.000 0.000 0.500
Mo2 0.000 0.500 0.000
Mo3 0.500 0.000 0.000
S1 0.224 0.751 0.751
S2 0.238 0.238 0.238
S3 0.249 0.249 0.776
S4 0.249 0.776 0.249
S5 0.751 0.224 0.751
S6 0.751 0.751 0.224
S7 0.762 0.762 0.762
S8 0.776 0.249 0.249



Record 3
An optimized crystal structure of SrCaEuBiO6. Source: the Materials Project, functional PBE.

E_form   -2.54 eV per atom
SG   P42_12 (90)

Cell: 5.983 5.983 8.689 Å, 90.00 90.00 90.00°
Atoms (fractional coordinates):
Sr1 0.000 0.000 0.000
Sr2 0.500 0.500 0.000
Ca1 0.000 0.000 0.500
Ca2 0.500 0.500 0.500
Eu1 0.000 0.500 0.253
Eu2 0.500 0.000 0.747
Bi1 0.000 0.500 0.746
Bi2 0.500 0.000 0.254
O1 0.000 0.500 0.505
O2 0.000 0.500 0.992
O3 0.160 0.819 0.741
O4 0.181 0.840 0.259
O5 0.319 0.340 0.741
O6 0.340 0.319 0.259
O7 0.500 0.000 0.008
O8 0.500 0.000 0.495
O9 0.660 0.681 0.259
O10 0.681 0.660 0.741
O11 0.819 0.160 0.259
O12 0.840 0.181 0.741